Entry 1:
VASP calculation (GGA-PBE) on a relaxed Na8Hf2In2Si5SO24 crystal.

```
data_Na8Hf2In2Si5SO24
_cell_length_a 9.273
_cell_length_b 9.277
_cell_length_c 22.557
_cell_angle_alpha 89.98
_cell_angle_beta 89.90
_cell_angle_gamma 60.06
_space_group_name_H-M_alt 'P 1'
_space_group_IT_number 1
loop_
_space_group_symop_operation_xyz
'x,y,z'
loop_
_atom_site_label
_atom_site_type_symbol
_atom_site_fract_x
_atom_site_fract_y
_atom_site_fract_z
Na1 Na 0.000 0.000 0.000
Na2 Na 0.001 0.343 0.250
Na3 Na 0.008 0.042 0.666
Na4 Na 0.037 0.661 0.157
Na5 Na 0.271 0.049 0.170
Na6 Na 0.284 0.409 0.660
Na7 Na 0.314 0.701 0.082
Na8 Na 0.322 0.691 0.582
Na9 Na 0.328 0.320 0.338
Na10 Na 0.330 0.065 0.838
Na11 Na 0.348 0.373 0.000
Na12 Na 0.349 0.013 0.497
Na13 Na 0.627 0.730 0.996
Na14 Na 0.632 0.367 0.500
Na15 Na 0.645 0.044 0.417
Na16 Na 0.658 0.031 0.914
Na17 Na 0.661 0.391 0.167
Na18 Na 0.676 0.651 0.669
Na19 Na 0.682 0.696 0.339
Na20 Na 0.692 0.327 0.833
Na21 Na 0.950 0.705 0.833
Na22 Na 0.954 0.085 0.331
Na23 Na 0.977 0.379 0.751
Na24 Na 0.994 0.722 0.504
Hf1 Hf 0.322 0.693 0.734
Hf2 Hf 0.326 0.698 0.935
Hf3 Hf 0.333 0.700 0.436
Hf4 Hf 0.659 0.045 0.063
Hf5 Hf 0.666 0.036 0.565
Hf6 Hf 0.992 0.367 0.899
In1 In 0.326 0.701 0.232
In2 In 0.643 0.057 0.267
In3 In 0.670 0.030 0.771
In4 In 0.982 0.374 0.596
In5 In 0.990 0.360 0.404
In6 In 0.999 0.357 0.097
Si1 Si 0.034 0.995 0.834
Si2 Si 0.289 0.367 0.501
Si3 Si 0.291 0.066 0.001
Si4 Si 0.322 0.403 0.834
Si5 Si 0.324 0.998 0.332
Si6 Si 0.354 0.334 0.167
Si7 Si 0.619 0.698 0.833
Si8 Si 0.623 0.407 0.333
Si9 Si 0.657 0.333 0.669
Si10 Si 0.691 0.670 0.500
Si11 Si 0.696 0.371 0.002
Si12 Si 0.953 0.033 0.169
Si13 Si 0.955 0.734 0.668
Si14 Si 0.989 0.664 0.001
Si15 Si 0.993 0.066 0.501
S1 S 0.029 0.699 0.334
S2 S 0.365 0.031 0.668
S3 S 0.659 0.745 0.167
O1 O 0.012 0.549 0.338
O2 O 0.019 0.179 0.838
O3 O 0.028 0.551 0.061
O4 O 0.040 0.141 0.559
O5 O 0.116 0.718 0.387
O6 O 0.125 0.678 0.279
O7 O 0.129 0.878 0.891
O8 O 0.138 0.729 0.671
O9 O 0.139 0.864 0.168
O10 O 0.148 0.905 0.774
O11 O 0.151 0.393 0.838
O12 O 0.151 0.877 0.493
O13 O 0.153 0.689 0.994
O14 O 0.164 0.187 0.337
O15 O 0.165 0.363 0.163
O16 O 0.173 0.406 0.559
O17 O 0.178 0.133 0.060
O18 O 0.196 0.179 0.664
O19 O 0.197 0.194 0.945
O20 O 0.212 0.327 0.442
O21 O 0.289 0.920 0.272
O22 O 0.295 0.522 0.775
O23 O 0.311 0.533 0.493
O24 O 0.316 0.879 0.993
O25 O 0.340 0.881 0.389
O26 O 0.349 0.514 0.168
O27 O 0.350 0.493 0.892
O28 O 0.353 0.876 0.670
O29 O 0.423 0.223 0.228
O30 O 0.440 0.053 0.722
O31 O 0.468 0.013 0.615
O32 O 0.476 0.049 0.006
O33 O 0.476 0.201 0.508
O34 O 0.477 0.231 0.111
O35 O 0.485 0.218 0.830
O36 O 0.488 0.521 0.671
O37 O 0.500 0.506 0.389
O38 O 0.503 0.692 0.492
O39 O 0.503 0.998 0.332
O40 O 0.504 0.733 0.167
O41 O 0.505 0.720 0.891
O42 O 0.507 0.529 0.995
O43 O 0.527 0.674 0.774
O44 O 0.542 0.512 0.272
O45 O 0.628 0.238 0.611
O46 O 0.633 0.867 0.831
O47 O 0.641 0.220 0.335
O48 O 0.645 0.848 0.114
O49 O 0.661 0.858 0.509
O50 O 0.678 0.821 0.222
O51 O 0.681 0.200 0.006
O52 O 0.685 0.224 0.728
O53 O 0.760 0.552 0.558
O54 O 0.766 0.413 0.061
O55 O 0.803 0.530 0.838
O56 O 0.806 0.393 0.337
O57 O 0.807 0.577 0.164
O58 O 0.814 0.594 0.443
O59 O 0.818 0.338 0.945
O60 O 0.820 0.848 0.007
O61 O 0.827 0.045 0.509
O62 O 0.827 0.348 0.664
O63 O 0.840 0.810 0.727
O64 O 0.850 0.012 0.834
O65 O 0.850 0.052 0.230
O66 O 0.854 0.011 0.112
O67 O 0.856 0.856 0.611
O68 O 0.861 0.851 0.333
O69 O 0.944 0.184 0.443
O70 O 0.960 0.570 0.944
O71 O 0.965 0.204 0.166
O72 O 0.986 0.544 0.663
```

Results
Its energy of formation is -268 kJ per mole of atoms. As for the calculated density: 3.931 g cm⁻³.

Entry 2:
VASP calculation (GGA-PBE) on a relaxed SrHfNbInO6 crystal.

```
data_SrHfNbInO6
_cell_length_a 8.242
_cell_length_b 8.242
_cell_length_c 8.242
_cell_angle_alpha 90.00
_cell_angle_beta 90.00
_cell_angle_gamma 90.00
_space_group_name_H-M_alt 'F -4 3 m'
_space_group_IT_number 216
_space_group_name_Hall 'F -4 2 3'
loop_
_atom_site_label
_atom_site_type_symbol
_atom_site_fract_x
_atom_site_fract_y
_atom_site_fract_z
Sr1 Sr 0.000 0.000 0.000
Hf1 Hf 0.250 0.250 0.250
Nb1 Nb 0.250 0.250 0.750
In1 In 0.000 0.000 0.500
O1 O 0.004 0.250 0.750
```

Results
Its energy of formation is -296 kJ per mole of atoms. As for the calculated density: 6.761 g cm⁻³.

Entry 3:
VASP calculation (GGA-PBE) on a relaxed HfInNi2 crystal.

```
data_HfInNi2
_cell_length_a 3.226
_cell_length_b 3.226
_cell_length_c 6.210
_cell_angle_alpha 90.00
_cell_angle_beta 90.00
_cell_angle_gamma 90.00
_space_group_name_H-M_alt 'P 4/m m m'
_space_group_IT_number 123
_space_group_name_Hall '-P 4 2'
loop_
_atom_site_label
_atom_site_type_symbol
_atom_site_fract_x
_atom_site_fract_y
_atom_site_fract_z
Hf1 Hf 0.000 0.000 0.000
In1 In 0.000 0.000 0.500
Ni1 Ni 0.500 0.500 0.224
```

Results
Its energy of formation is -34 kJ per mole of atoms. As for the calculated density: 10.556 g cm⁻³.

Entry 4:
VASP calculation (GGA-PBE) on a relaxed SrHfInSbO6 crystal.

```
data_SrHfInSbO6
_cell_length_a 8.201
_cell_length_b 8.201
_cell_length_c 8.201
_cell_angle_alpha 90.00
_cell_angle_beta 90.00
_cell_angle_gamma 90.00
_space_group_name_H-M_alt 'F -4 3 m'
_space_group_IT_number 216
_space_group_name_Hall 'F -4 2 3'
loop_
_atom_site_label
_atom_site_type_symbol
_atom_site_fract_x
_atom_site_fract_y
_atom_site_fract_z
Sr1 Sr 0.000 0.000 0.000
Hf1 Hf 0.250 0.250 0.250
In1 In 0.000 0.000 0.500
Sb1 Sb 0.250 0.250 0.750
O1 O 0.005 0.250 0.750
```

Results
Its energy of formation is -256 kJ per mole of atoms. As for the calculated density: 7.208 g cm⁻³.

Entry 5:
VASP calculation (GGA-PBE) on a relaxed SrHfTiInO6 crystal.

```
data_SrHfTiInO6
_cell_length_a 8.069
_cell_length_b 8.069
_cell_length_c 8.069
_cell_angle_alpha 90.00
_cell_angle_beta 90.00
_cell_angle_gamma 90.00
_space_group_name_H-M_alt 'F -4 3 m'
_space_group_IT_number 216
_space_group_name_Hall 'F -4 2 3'
loop_
_atom_site_label
_atom_site_type_symbol
_atom_site_fract_x
_atom_site_fract_y
_atom_site_fract_z
Sr1 Sr 0.000 0.000 0.000
Hf1 Hf 0.250 0.250 0.750
Ti1 Ti 0.250 0.250 0.250
In1 In 0.000 0.000 0.500
O1 O 0.006 0.250 0.250
```

Results
Its energy of formation is -302 kJ per mole of atoms. As for the calculated density: 6.634 g cm⁻³.

Entry 6:
VASP calculation (GGA-PBE) on a relaxed HfInPd2 crystal.

```
data_HfInPd2
_cell_length_a 3.391
_cell_length_b 3.391
_cell_length_c 6.485
_cell_angle_alpha 90.00
_cell_angle_beta 90.00
_cell_angle_gamma 90.00
_space_group_name_H-M_alt 'P 4/m m m'
_space_group_IT_number 123
_space_group_name_Hall '-P 4 2'
loop_
_atom_site_label
_atom_site_type_symbol
_atom_site_fract_x
_atom_site_fract_y
_atom_site_fract_z
Hf1 Hf 0.000 0.000 0.000
In1 In 0.000 0.000 0.500
Pd1 Pd 0.500 0.500 0.226
```

Results
Its energy of formation is -63 kJ per mole of atoms. As for the calculated density: 11.271 g cm⁻³.